LiFeP3H8O13 | PBE with a Hubbard U | relaxed

Summary:
- Corrected total energy (MP2020 scheme): -6.428 eV/atom
- ρ: 2.1 g/cm3
- Crystal system: triclinic
- Magnetization: 4.0 μB/f.u.
- E_form: -49.05 eV per formula unit
- Energy relative to the lowest polymorph listed for this composition: 0.045 eV/atom
- Electronic total energy: -6.00 eV per atom

a = 7.597 Å, b = 8.628 Å, c = 9.601 Å
α = 101.00°, β = 91.13°, γ = 107.12°
Fractional positions:
O1 0.486 0.991 0.715
O2 0.187 0.969 0.175
O3 0.148 0.087 0.911
O4 0.514 0.009 0.285
O5 0.887 0.511 0.778
O6 0.363 0.178 0.541
O7 0.817 0.615 0.109
O8 0.183 0.385 0.891
O9 0.466 0.276 0.882
O10 0.790 0.229 0.541
O11 0.941 0.955 0.357
O12 0.534 0.724 0.118
O13 0.680 0.685 0.889
O14 0.813 0.031 0.825
O15 0.680 0.620 0.625
O16 0.320 0.380 0.375
O17 0.022 0.190 0.222
O18 0.219 0.710 0.993
O19 0.210 0.771 0.459
O20 0.059 0.045 0.643
O21 0.113 0.489 0.222
O22 0.320 0.315 0.111
O23 0.637 0.822 0.459
O24 0.978 0.810 0.778
O25 0.852 0.913 0.089
O26 0.781 0.290 0.007
P1 0.990 0.002 0.780
P2 0.198 0.355 0.243
P3 0.716 0.725 0.060
P4 0.010 0.998 0.220
P5 0.802 0.645 0.757
P6 0.284 0.275 0.940
H1 0.114 0.825 0.455
H2 0.242 0.132 0.581
H3 0.655 0.753 0.526
H4 0.389 0.005 0.246
H5 0.201 0.813 0.052
H6 0.339 0.704 0.036
H7 0.466 0.095 0.770
H8 0.345 0.247 0.474
H9 0.758 0.868 0.419
H10 0.190 0.689 0.368
H11 0.886 0.175 0.545
H12 0.661 0.296 0.964
H13 0.611 0.995 0.754
H14 0.799 0.187 0.948
H15 0.534 0.905 0.230
H16 0.810 0.311 0.632
Fe1 0.500 0.000 0.500
Fe2 0.000 0.500 0.000
Li1 0.714 0.402 0.309
Li2 0.286 0.598 0.691